No. 1
# Al2Fe3Si3O12

A relaxed Al2Fe3Si3O12 crystal (PBE with a Hubbard U, the Materials Project).

Cell: 10.103 10.103 10.103 Å, 109.47 109.47 109.47°
Fractional coordinates of all 80 atoms:
O1 0.814 0.514 0.395
O2 0.582 0.895 0.381
Si1 0.750 0.875 0.125
O3 0.800 0.881 0.986
Al1 0.000 0.500 0.000
O4 0.700 0.514 0.619
O5 0.186 0.486 0.605
Si2 0.750 0.375 0.625
Al2 0.500 0.000 0.000
O6 0.119 0.605 0.918
Fe1 0.250 0.875 0.625
O7 0.881 0.395 0.082
O8 0.619 0.418 0.105
O9 0.514 0.619 0.700
O10 0.395 0.082 0.881
Fe2 0.875 0.750 0.625
O11 0.105 0.986 0.686
Fe3 0.625 0.875 0.750
O12 0.986 0.800 0.881
O13 0.300 0.314 0.918
O14 0.014 0.314 0.895
O15 0.300 0.486 0.381
O16 0.918 0.300 0.314
Si3 0.125 0.750 0.875
O17 0.895 0.381 0.582
Si4 0.375 0.625 0.750
O18 0.486 0.605 0.186
Fe4 0.750 0.125 0.375
Si5 0.250 0.625 0.375
Si6 0.375 0.250 0.625
O19 0.619 0.700 0.514
Fe5 0.375 0.125 0.250
O20 0.418 0.105 0.619
O21 0.582 0.186 0.200
Fe6 0.125 0.375 0.750
Fe7 0.250 0.375 0.125
O22 0.918 0.119 0.605
O23 0.186 0.200 0.582
O24 0.605 0.918 0.119
O25 0.800 0.418 0.814
O26 0.814 0.800 0.418
O27 0.605 0.186 0.486
Al3 0.000 0.500 0.500
Al4 0.500 0.500 0.500
Si7 0.625 0.750 0.375
O28 0.881 0.986 0.800
Fe8 0.625 0.250 0.875
O29 0.200 0.119 0.014
O30 0.314 0.918 0.300
O31 0.082 0.700 0.686
O32 0.686 0.082 0.700
Al5 0.500 0.000 0.500
Fe9 0.375 0.750 0.125
Al6 0.500 0.500 0.000
Si8 0.125 0.875 0.250
O33 0.381 0.582 0.895
O34 0.986 0.686 0.105
Si9 0.625 0.375 0.250
O35 0.314 0.895 0.014
O36 0.700 0.686 0.082
O37 0.514 0.395 0.814
O38 0.119 0.014 0.200
O39 0.486 0.381 0.300
O40 0.082 0.881 0.395
Si10 0.875 0.125 0.750
O41 0.105 0.619 0.418
Fe10 0.875 0.625 0.250
O42 0.895 0.014 0.314
Al7 0.000 0.000 0.500
O43 0.418 0.814 0.800
O44 0.200 0.582 0.186
Si11 0.250 0.125 0.875
Fe11 0.750 0.625 0.875
Al8 0.000 0.000 0.000
O45 0.381 0.300 0.486
O46 0.395 0.814 0.514
Si12 0.875 0.250 0.125
O47 0.686 0.105 0.986
Fe12 0.125 0.250 0.375
O48 0.014 0.200 0.119

Calculated values
raw total energy = -7.462 eV/atom
total magnetization = 12.00 μB/f.u.
formation enthalpy at 0 K = -2.785 eV/atom


No. 2
# AlFe3Si3O12

A relaxed AlFe3Si3O12 crystal (PBE with a Hubbard U, the Materials Project).

Cell: 9.972 9.972 9.972 Å, 109.47 109.47 109.47°
Fractional coordinates of all 76 atoms:
Fe1 0.750 0.637 0.887
Fe2 0.863 0.613 0.250
Fe3 0.387 0.750 0.137
Fe4 0.750 0.137 0.387
Al1 0.000 0.000 0.500
O1 0.267 0.302 0.900
O2 0.899 0.021 0.317
Si1 0.625 0.750 0.375
Fe5 0.887 0.750 0.637
O3 0.233 0.133 0.035
Si2 0.250 0.125 0.875
O4 0.867 0.965 0.767
Si3 0.375 0.625 0.750
O5 0.402 0.802 0.535
O6 0.683 0.101 0.979
O7 0.122 0.601 0.918
O8 0.979 0.683 0.101
O9 0.965 0.767 0.867
O10 0.400 0.098 0.633
O11 0.796 0.418 0.817
Fe6 0.613 0.250 0.863
O12 0.878 0.399 0.082
Al2 0.500 0.500 0.500
O13 0.733 0.698 0.100
Si4 0.375 0.250 0.625
O14 0.100 0.733 0.698
O15 0.465 0.598 0.198
O16 0.479 0.378 0.296
O17 0.622 0.704 0.521
O18 0.902 0.367 0.600
Fe7 0.363 0.113 0.250
O19 0.133 0.035 0.233
Si5 0.125 0.750 0.875
Al3 0.000 0.500 0.000
O20 0.378 0.296 0.479
Fe8 0.637 0.887 0.750
O21 0.698 0.100 0.733
O22 0.918 0.122 0.601
O23 0.098 0.633 0.400
O24 0.082 0.878 0.399
O25 0.101 0.979 0.683
O26 0.183 0.204 0.582
Al4 0.500 0.000 0.000
O27 0.521 0.622 0.704
O28 0.535 0.402 0.802
O29 0.302 0.900 0.267
Si6 0.625 0.375 0.250
Si7 0.750 0.875 0.125
Si8 0.750 0.375 0.625
O30 0.418 0.817 0.796
O31 0.582 0.183 0.204
O32 0.367 0.600 0.902
Si9 0.875 0.250 0.125
O33 0.035 0.233 0.133
O34 0.021 0.317 0.899
O35 0.399 0.082 0.878
O36 0.204 0.582 0.183
Fe9 0.250 0.863 0.613
O37 0.767 0.867 0.965
O38 0.633 0.400 0.098
O39 0.296 0.479 0.378
Fe10 0.113 0.250 0.363
Fe11 0.250 0.363 0.113
O40 0.600 0.902 0.367
O41 0.317 0.899 0.021
Si10 0.125 0.875 0.250
Si11 0.250 0.625 0.375
Fe12 0.137 0.387 0.750
O42 0.598 0.198 0.465
O43 0.198 0.465 0.598
O44 0.601 0.918 0.122
Si12 0.875 0.125 0.750
O45 0.704 0.521 0.622
O46 0.802 0.535 0.402
O47 0.817 0.796 0.418
O48 0.900 0.267 0.302

Calculated values
raw total energy = -7.155 eV/atom
total magnetization = 15.00 μB/f.u.
formation enthalpy at 0 K = -2.429 eV/atom


No. 3
# Sr2AlTlFe2O7

A relaxed Sr2AlTlFe2O7 crystal (PBE with a Hubbard U, the Materials Project).

Cell: 3.737 3.737 13.169 Å, 90.00 90.00 90.00°
Fractional coordinates of all 13 atoms:
O1 0.500 0.500 0.000
Fe1 0.000 0.000 0.361
Tl1 0.000 0.000 0.000
Sr1 0.500 0.500 0.187
O2 0.000 0.500 0.593
O3 0.500 0.000 0.407
Al1 0.500 0.500 0.500
O4 0.000 0.000 0.786
Sr2 0.500 0.500 0.813
O5 0.000 0.500 0.407
Fe2 0.000 0.000 0.639
O6 0.500 0.000 0.593
O7 0.000 0.000 0.214

Calculated values
raw total energy = -6.058 eV/atom
total magnetization = 9.86 μB/f.u.
formation enthalpy at 0 K = -2.078 eV/atom